Arrangement A

First-principles (PBE with a Hubbard U) data for a geometry-optimized MgMn3VCr2P6O24 structure, as listed in the Materials Project.

The structure in POSCAR format:
```
MgMn3VCr2P6O24
1.0
8.367 -0.145 -0.105
4.273 -7.602 -0.046
4.275 -2.589 -7.254
P O Mn Cr Mg V
6 24 3 2 1 1
Direct
0.773 0.745 0.436
0.267 0.242 0.552
0.741 0.043 0.764
0.747 0.448 0.054
0.223 0.952 0.258
0.254 0.555 0.942
0.459 0.178 0.398
0.777 0.085 0.897
0.923 0.898 0.688
0.560 0.983 0.869
0.207 0.931 0.100
0.293 0.397 0.570
0.704 0.424 0.262
0.689 0.232 0.597
0.235 0.759 0.916
0.938 0.470 0.910
0.087 0.291 0.515
0.295 0.565 0.744
0.641 0.849 0.581
0.015 0.084 0.334
0.243 0.083 0.752
0.774 0.236 0.089
0.981 0.656 0.438
0.288 0.753 0.399
0.060 0.535 0.085
0.370 0.044 0.195
0.781 0.909 0.236
0.567 0.602 0.005
0.695 0.606 0.453
0.430 0.398 0.000
0.444 0.848 0.857
0.048 0.642 0.648
0.955 0.359 0.342
0.490 0.509 0.506
0.007 0.997 0.993
0.731 0.122 0.399
0.558 0.147 0.139
```

=====

Arrangement B

First-principles (PBE with a Hubbard U) data for a geometry-optimized MgMn3VCr2P6O24 structure, as listed in the Materials Project.

The structure in POSCAR format:
```
MgMn3VCr2P6O24
1.0
8.790 0.043 -0.034
4.332 -7.456 0.001
4.385 -2.465 -7.054
O P Cr V Mg Mn
24 6 2 1 1 3
Direct
0.729 0.252 0.589
0.181 0.752 0.953
0.189 0.110 0.754
0.739 0.584 0.424
0.580 0.001 0.805
0.923 0.698 0.493
0.770 0.250 0.069
0.775 0.906 0.244
0.578 0.615 0.994
0.316 0.546 0.752
0.320 0.386 0.550
0.768 0.074 0.908
0.412 0.412 0.032
0.076 0.474 0.092
0.075 0.092 0.358
0.086 0.355 0.479
0.185 0.951 0.115
0.919 0.887 0.694
0.314 0.754 0.388
0.715 0.433 0.252
0.583 0.801 0.610
0.917 0.502 0.887
0.413 0.035 0.144
0.426 0.144 0.411
0.744 0.452 0.052
0.253 0.250 0.544
0.749 0.052 0.749
0.248 0.540 0.961
0.250 0.961 0.249
0.757 0.747 0.443
0.980 0.007 0.005
0.520 0.492 0.493
0.558 0.149 0.149
0.751 0.751 0.745
0.949 0.347 0.355
0.386 0.868 0.872
0.115 0.627 0.632
```

=====

Arrangement C

First-principles (PBE with a Hubbard U) data for a geometry-optimized MgMn3VCr2P6O24 structure, as listed in the Materials Project.

The structure in POSCAR format:
```
MgMn3VCr2P6O24
1.0
8.966 -0.079 0.174
4.525 -7.487 0.082
4.338 -2.541 -7.075
O P Mn Mg Cr V
24 6 3 1 2 1
Direct
0.685 0.602 0.449
0.102 0.312 0.491
0.294 0.414 0.546
0.680 0.445 0.257
0.927 0.920 0.663
0.774 0.067 0.909
0.585 0.984 0.836
0.896 0.666 0.517
0.257 0.097 0.737
0.436 0.010 0.182
0.749 0.904 0.270
0.688 0.258 0.607
0.221 0.747 0.935
0.254 0.932 0.082
0.911 0.490 0.926
0.291 0.551 0.753
0.439 0.186 0.374
0.303 0.753 0.400
0.776 0.247 0.064
0.567 0.600 0.982
0.428 0.379 0.015
0.545 0.831 0.612
0.094 0.491 0.103
0.102 0.108 0.305
0.721 0.744 0.473
0.742 0.050 0.750
0.273 0.252 0.541
0.276 0.945 0.242
0.256 0.550 0.947
0.734 0.458 0.051
0.891 0.364 0.363
0.440 0.859 0.851
0.043 0.646 0.658
0.249 0.252 0.254
0.485 0.504 0.507
0.018 0.003 0.983
0.607 0.130 0.132
```

=====

The most stable arrangement is arrangement A, and the next structure is 0.034 eV/atom less stable.

=====

Arrangement A

First-principles (PBE with a Hubbard U) data for a geometry-optimized VPO5 structure, as listed in the Materials Project.

The structure in POSCAR format:
```
VPO5
1.0
3.885 3.430 0.000
-3.885 3.430 0.000
0.000 2.987 6.890
O V P
10 2 2
Direct
0.772 0.846 0.865
0.159 0.237 0.628
0.237 0.159 0.128
0.846 0.772 0.365
0.136 0.755 0.609
0.755 0.136 0.109
0.259 0.871 0.882
0.669 0.371 0.720
0.871 0.259 0.382
0.371 0.669 0.220
0.482 0.945 0.038
0.945 0.482 0.538
0.079 0.928 0.750
0.928 0.079 0.250
```

=====

Arrangement B

First-principles (PBE with a Hubbard U) data for a geometry-optimized VPO5 structure, as listed in the Materials Project.

The structure in POSCAR format:
```
VPO5
1.0
-3.911 -3.489 -3.377
4.626 -5.555 0.381
-3.478 -2.447 6.556
V O P
4 20 4
Direct
0.750 0.228 0.827
0.750 0.272 0.327
0.250 0.728 0.673
0.250 0.772 0.173
0.750 0.151 0.633
0.052 0.260 0.371
0.250 0.518 0.219
0.250 0.499 0.545
0.250 0.982 0.719
0.750 0.482 0.781
0.750 0.999 0.955
0.052 0.240 0.871
0.948 0.760 0.129
0.750 0.349 0.133
0.448 0.240 0.871
0.750 0.018 0.281
0.750 0.501 0.455
0.552 0.740 0.629
0.948 0.740 0.629
0.250 0.849 0.367
0.250 0.651 0.867
0.448 0.260 0.371
0.552 0.760 0.129
0.250 0.001 0.045
0.250 0.387 0.378
0.750 0.887 0.122
0.250 0.113 0.878
0.750 0.613 0.622
```

=====

Arrangement C

First-principles (PBE with a Hubbard U) data for a geometry-optimized VPO5 structure, as listed in the Materials Project.

The structure in POSCAR format:
```
VPO5
1.0
4.045 3.318 0.000
-4.045 3.318 0.000
0.000 2.994 6.322
O V P
10 2 2
Direct
0.937 0.063 0.750
0.369 0.248 0.399
0.864 0.301 0.384
0.752 0.631 0.101
0.301 0.864 0.884
0.699 0.136 0.116
0.136 0.699 0.616
0.631 0.752 0.601
0.248 0.369 0.899
0.063 0.937 0.250
0.000 0.000 0.000
0.000 0.000 0.500
0.328 0.672 0.750
0.672 0.328 0.250
```

=====

The most stable arrangement is arrangement B, and the next structure is 0.009 eV/atom less stable.

=====

Arrangement A

First-principles (PBE with a Hubbard U) data for a geometry-optimized VPO5 structure, as listed in the Materials Project.

The structure in POSCAR format:
```
VPO5
1.0
4.786 -0.002 1.801
1.264 9.861 3.897
-0.073 0.396 7.464
O P V
20 4 4
Direct
0.854 0.559 0.791
0.186 0.935 0.689
0.690 0.435 0.188
0.769 0.086 0.301
0.665 0.149 0.966
0.861 0.167 0.558
0.681 0.400 0.686
0.311 0.096 0.816
0.346 0.585 0.803
0.205 0.418 0.201
0.734 0.900 0.186
0.277 0.596 0.316
0.289 0.841 0.025
0.915 0.667 0.058
0.299 0.059 0.292
0.676 0.918 0.700
0.346 0.341 0.526
0.722 0.649 0.466
0.184 0.319 0.921
0.077 0.819 0.421
0.616 0.048 0.190
0.648 0.548 0.690
0.363 0.949 0.809
0.379 0.449 0.309
0.962 0.028 0.508
0.451 0.259 0.777
0.014 0.759 0.277
0.003 0.527 0.009
```

=====

Arrangement B

First-principles (PBE with a Hubbard U) data for a geometry-optimized VPO5 structure, as listed in the Materials Project.

The structure in POSCAR format:
```
VPO5
1.0
9.376 0.000 0.000
0.000 9.376 0.000
0.000 0.000 8.746
O V P
40 8 8
Direct
0.635 0.996 0.350
0.398 0.411 0.350
0.898 0.089 0.650
0.496 0.135 0.150
0.135 0.504 0.650
0.589 0.398 0.850
0.089 0.102 0.850
0.004 0.635 0.850
0.996 0.365 0.850
0.194 0.252 0.500
0.365 0.004 0.650
0.496 0.135 0.850
0.411 0.602 0.150
0.504 0.865 0.150
0.135 0.504 0.350
0.102 0.911 0.650
0.806 0.748 0.500
0.602 0.589 0.650
0.752 0.694 0.000
0.748 0.194 0.000
0.996 0.365 0.150
0.398 0.411 0.650
0.911 0.898 0.850
0.865 0.496 0.650
0.248 0.306 0.000
0.411 0.602 0.850
0.694 0.248 0.500
0.252 0.806 0.000
0.589 0.398 0.150
0.089 0.102 0.150
0.898 0.089 0.350
0.911 0.898 0.150
0.635 0.996 0.650
0.004 0.635 0.150
0.365 0.004 0.350
0.602 0.589 0.350
0.306 0.752 0.500
0.504 0.865 0.850
0.865 0.496 0.350
0.102 0.911 0.350
0.414 0.750 0.000
0.750 0.586 0.500
0.750 0.086 0.500
0.250 0.914 0.500
0.250 0.414 0.500
0.086 0.250 0.000
0.914 0.750 0.000
0.586 0.250 0.000
0.000 0.500 0.250
0.500 0.000 0.750
0.500 0.000 0.250
0.500 0.500 0.250
0.000 0.500 0.750
0.000 0.000 0.750
0.000 0.000 0.250
0.500 0.500 0.750
```

=====

The most stable arrangement is arrangement B, and the next structure is 0.013 eV/atom less stable.

=====

Arrangement A

First-principles (PBE with a Hubbard U) data for a geometry-optimized MgMn8O13F3 structure, as listed in the Materials Project.

The structure in POSCAR format:
```
MgMn8O13F3
1.0
-5.806 0.168 3.370
-0.989 -5.484 -1.449
3.626 -2.748 5.393
Mn O F Mg
8 13 3 1
Direct
0.861 0.162 0.128
0.133 0.667 0.372
0.161 0.871 0.914
0.879 0.380 0.646
0.592 0.823 0.329
0.608 0.619 0.867
0.365 0.345 0.115
0.397 0.134 0.634
0.181 0.618 0.108
0.678 0.632 0.599
0.824 0.392 0.903
0.414 0.387 0.851
0.071 0.628 0.641
0.428 0.878 0.831
0.345 0.872 0.426
0.102 0.112 0.691
0.881 0.887 0.319
0.676 0.150 0.590
0.145 0.125 0.090
0.576 0.108 0.159
0.575 0.576 0.133
0.931 0.392 0.367
0.337 0.363 0.405
0.841 0.859 0.902
0.880 0.901 0.608
```

=====

Arrangement B

First-principles (PBE with a Hubbard U) data for a geometry-optimized MgMn8O13F3 structure, as listed in the Materials Project.

The structure in POSCAR format:
```
MgMn8O13F3
1.0
-0.814 -2.730 -5.995
5.817 -0.458 -0.592
0.474 -6.208 3.286
Mn O F Mg
8 13 3 1
Direct
0.370 0.361 0.110
0.616 0.634 0.869
0.132 0.657 0.368
0.846 0.147 0.091
0.140 0.839 0.873
0.871 0.378 0.640
0.415 0.157 0.672
0.617 0.865 0.376
0.894 0.902 0.307
0.112 0.121 0.679
0.339 0.876 0.431
0.573 0.116 0.164
0.579 0.584 0.132
0.175 0.616 0.098
0.144 0.143 0.098
0.073 0.613 0.632
0.665 0.616 0.595
0.676 0.140 0.598
0.422 0.875 0.839
0.827 0.400 0.896
0.416 0.406 0.850
0.842 0.861 0.909
0.929 0.379 0.361
0.331 0.353 0.400
0.117 0.105 0.392
```

=====

Arrangement C

First-principles (PBE with a Hubbard U) data for a geometry-optimized MgMn8O13F3 structure, as listed in the Materials Project.

The structure in POSCAR format:
```
MgMn8O13F3
1.0
-0.878 0.278 -6.707
-4.207 -3.709 0.388
-5.213 4.805 1.372
O Mn F Mg
13 8 3 1
Direct
0.677 0.595 0.590
0.365 0.914 0.433
0.826 0.353 0.895
0.560 0.611 0.093
0.663 0.121 0.594
0.167 0.119 0.086
0.435 0.311 0.843
0.615 0.142 0.201
0.399 0.838 0.798
0.094 0.103 0.677
0.076 0.608 0.646
0.911 0.899 0.325
0.158 0.618 0.108
0.608 0.575 0.842
0.362 0.370 0.126
0.116 0.837 0.877
0.377 0.131 0.622
0.908 0.189 0.148
0.888 0.350 0.639
0.648 0.885 0.411
0.136 0.693 0.385
0.333 0.406 0.423
0.931 0.394 0.370
0.813 0.848 0.906
0.563 0.984 0.983
```

=====

The most stable arrangement is arrangement A, and the next structure is 0.030 eV/atom less stable.